# 1
Computed, not measured: a relaxed structure of BaV2P4O17 at the PBE+U level of DFT.

volume	13.051	Å³ per atom

The structure in CIF format:
```
data_BaV2P4O17
_chemical_formula_sum 'Ba2 V4 P8 O34'
_space_group_name_H-M_alt 'P 1 21 1'
_space_group_IT_number 4
_cell_length_a 9.4970
_cell_length_b 7.8549
_cell_length_c 9.5575
_cell_angle_alpha 90.00
_cell_angle_beta 118.52
_cell_angle_gamma 90.00
loop_
_space_group_symop_operation_xyz
'x,y,z'
'-x,y+1/2,-z'
loop_
_atom_site_label
_atom_site_type_symbol
_atom_site_fract_x
_atom_site_fract_y
_atom_site_fract_z
Ba1 Ba 0.1529 0.0000 0.3367
V1 V 0.2536 0.5137 0.2441
V2 V 0.2579 0.7534 0.7507
P1 P 0.0822 0.8258 0.9754
P2 P 0.0910 0.4359 0.4764
P3 P 0.4854 0.7007 0.5753
P4 P 0.4954 0.5808 0.0861
O1 O 0.0964 0.9113 0.5987
O2 O 0.1061 0.3398 0.1172
O3 O 0.1129 0.2501 0.7819
O4 O 0.1202 0.6864 0.1075
O5 O 0.1265 0.7417 0.8526
O6 O 0.1290 0.5338 0.3555
O7 O 0.1335 0.5623 0.6187
O8 O 0.1618 0.9891 0.0503
O9 O 0.1730 0.2661 0.5208
O10 O 0.3610 0.7751 0.6240
O11 O 0.3684 0.5053 0.1328
O12 O 0.3793 0.9327 0.8769
O13 O 0.3851 0.3447 0.3836
O14 O 0.3893 0.6872 0.3891
O15 O 0.3994 0.5992 0.8980
O16 O 0.4335 0.2435 0.8323
O17 O 0.4363 0.0384 0.3457
```

# 2
Computed, not measured: a relaxed structure of Li4Ti2Co3Sb3O16 at the PBE+U level of DFT.

volume	11.397	Å³ per atom

The structure in CIF format:
```
data_Li4Ti2Co3Sb3O16
_chemical_formula_sum 'Li8 Ti4 Co6 Sb6 O32'
_space_group_name_H-M_alt 'P 1'
_space_group_IT_number 1
_cell_length_a 6.1612
_cell_length_b 10.6378
_cell_length_c 11.4488
_cell_angle_alpha 62.69
_cell_angle_beta 74.97
_cell_angle_gamma 89.70
loop_
_space_group_symop_operation_xyz
'x,y,z'
loop_
_atom_site_label
_atom_site_type_symbol
_atom_site_fract_x
_atom_site_fract_y
_atom_site_fract_z
Li1 Li 0.0000 0.0000 0.0000
Li2 Li 0.0439 0.7170 0.8972
Li3 Li 0.2421 0.2558 0.4792
Li4 Li 0.3238 0.6468 0.3875
Li5 Li 0.4985 0.5024 0.9995
Li6 Li 0.5441 0.2169 0.8973
Li7 Li 0.7424 0.7555 0.4791
Li8 Li 0.8233 0.1467 0.3872
Ti1 Ti 0.0282 0.3450 0.9979
Ti2 Ti 0.3129 0.9502 0.4673
Ti3 Ti 0.5278 0.8443 0.9984
Ti4 Ti 0.8136 0.4499 0.4675
Co1 Co 0.1587 0.4911 0.2077
Co2 Co 0.3908 0.5619 0.7093
Co3 Co 0.4147 0.2332 0.2059
Co4 Co 0.6575 0.9903 0.2062
Co5 Co 0.8914 0.0618 0.7090
Co6 Co 0.9175 0.7315 0.2078
Sb1 Sb 0.1433 0.3139 0.7121
Sb2 Sb 0.1664 0.9873 0.2108
Sb3 Sb 0.3971 0.0609 0.7115
Sb4 Sb 0.6433 0.8147 0.7110
Sb5 Sb 0.6678 0.4859 0.2114
Sb6 Sb 0.8968 0.5609 0.7117
O1 O 0.0649 0.5734 0.3480
O2 O 0.0725 0.5591 0.8393
O3 O 0.0963 0.0949 0.8129
O4 O 0.1187 0.0699 0.3427
O5 O 0.1951 0.5334 0.5978
O6 O 0.2102 0.3779 0.0817
O7 O 0.2158 0.0421 0.5895
O8 O 0.2321 0.8839 0.0886
O9 O 0.2928 0.3392 0.8392
O10 O 0.3327 0.8557 0.3426
O11 O 0.3526 0.8415 0.8331
O12 O 0.3726 0.3604 0.2955
O13 O 0.4343 0.2792 0.5987
O14 O 0.4552 0.1196 0.1011
O15 O 0.4641 0.7946 0.5888
O16 O 0.4854 0.6317 0.0886
O17 O 0.5643 0.0737 0.3483
O18 O 0.5730 0.0597 0.8382
O19 O 0.5945 0.5966 0.8123
O20 O 0.6184 0.5687 0.3436
O21 O 0.6937 0.0338 0.5973
O22 O 0.7108 0.8776 0.0812
O23 O 0.7163 0.5422 0.5882
O24 O 0.7310 0.3842 0.0888
O25 O 0.7924 0.8393 0.8382
O26 O 0.8334 0.3544 0.3436
O27 O 0.8524 0.3406 0.8342
O28 O 0.8722 0.8603 0.2952
O29 O 0.9337 0.7808 0.5983
O30 O 0.9565 0.6197 0.1010
O31 O 0.9642 0.2941 0.5889
O32 O 0.9831 0.1313 0.0889
```

# 3
Computed, not measured: a relaxed structure of Co3B7O13F at the PBE+U level of DFT.

volume	9.370	Å³ per atom

The structure in CIF format:
```
data_Co3B7O13F
_chemical_formula_sum 'Co18 B42 O78 F6'
_space_group_name_H-M_alt 'R 3 c'
_space_group_IT_number 161
_space_group_name_Hall 'R 3 -2"c'
_cell_length_a 8.5662
_cell_length_b 8.5662
_cell_length_c 21.2327
_cell_angle_alpha 90.00
_cell_angle_beta 90.00
_cell_angle_gamma 120.00
loop_
_atom_site_label
_atom_site_type_symbol
_atom_site_fract_x
_atom_site_fract_y
_atom_site_fract_z
Co1 Co 0.0531 0.5260 0.0000
B1 B 0.0000 0.0000 0.1124
B2 B 0.0044 0.5014 0.7592
B3 B 0.1024 0.2049 0.9810
O1 O 0.0000 0.0000 0.4983
O2 O 0.0239 0.2233 0.4220
O3 O 0.0248 0.4376 0.1976
O4 O 0.0685 0.3746 0.6396
O5 O 0.1617 0.0013 0.1150
F1 F 0.0000 0.0000 0.3030
```

# 4
Computed, not measured: a relaxed structure of KGdMo2O8 at the PBE+U level of DFT.

volume	15.140	Å³ per atom

The structure in CIF format:
```
data_KGdMo2O8
_chemical_formula_sum 'K2 Gd2 Mo4 O16'
_space_group_name_H-M_alt 'P -1'
_space_group_IT_number 2
_cell_length_a 5.3713
_cell_length_b 7.0437
_cell_length_c 10.8451
_cell_angle_alpha 94.30
_cell_angle_beta 103.16
_cell_angle_gamma 112.41
loop_
_space_group_symop_operation_xyz
'x,y,z'
'-x,-y,-z'
loop_
_atom_site_label
_atom_site_type_symbol
_atom_site_fract_x
_atom_site_fract_y
_atom_site_fract_z
K1 K 0.1901 0.3047 0.0569
Gd1 Gd 0.3065 0.1850 0.4382
Mo1 Mo 0.0434 0.4286 0.6697
Mo2 Mo 0.4247 0.0608 0.7827
O1 O 0.0569 0.3583 0.3083
O2 O 0.1741 0.0587 0.6284
O3 O 0.2358 0.4135 0.8190
O4 O 0.2525 0.9995 0.9030
O5 O 0.2735 0.8127 0.4155
O6 O 0.2873 0.4836 0.5682
O7 O 0.2910 0.6953 0.1539
O8 O 0.4256 0.1248 0.2505
```

# 5
Computed, not measured: a relaxed structure of Sr2CoReO6 at the PBE+U level of DFT.

volume	12.732	Å³ per atom

The structure in CIF format:
```
data_Sr2CoReO6
_chemical_formula_sum 'Sr4 Co2 Re2 O12'
_space_group_name_H-M_alt 'P 42/m'
_space_group_IT_number 84
_cell_length_a 5.6297
_cell_length_b 5.6297
_cell_length_c 8.0344
_cell_angle_alpha 90.00
_cell_angle_beta 90.00
_cell_angle_gamma 90.00
loop_
_space_group_symop_operation_xyz
'x,y,z'
'-x,-y,-z'
'-y,x,z+1/2'
'y,-x,-z+1/2'
'-x,-y,z'
'x,y,-z'
'y,-x,z+1/2'
'-y,x,-z+1/2'
loop_
_atom_site_label
_atom_site_type_symbol
_atom_site_fract_x
_atom_site_fract_y
_atom_site_fract_z
Sr1 Sr 0.0000 0.0000 0.2500
Sr2 Sr 0.5000 0.5000 0.2500
Co1 Co 0.0000 0.5000 0.0000
Re1 Re 0.0000 0.5000 0.5000
O1 O 0.0000 0.5000 0.2566
O2 O 0.1936 0.7793 0.5000
O3 O 0.2814 0.3010 0.5000
```

# 6
Computed, not measured: a relaxed structure of V4OF11 at the PBE+U level of DFT.

volume	13.542	Å³ per atom
E above lowest polymorph	13	kJ/mol of formula units

The structure in CIF format:
```
data_V4OF11
_chemical_formula_sum 'V8 O2 F22'
_space_group_name_H-M_alt 'C 1 2 1'
_space_group_IT_number 5
_cell_length_a 9.5268
_cell_length_b 5.2851
_cell_length_c 9.0316
_cell_angle_alpha 90.00
_cell_angle_beta 107.65
_cell_angle_gamma 90.00
loop_
_space_group_symop_operation_xyz
'x,y,z'
'-x,y,-z'
'x+1/2,y+1/2,z'
'-x+1/2,y+1/2,-z'
loop_
_atom_site_label
_atom_site_type_symbol
_atom_site_fract_x
_atom_site_fract_y
_atom_site_fract_z
V1 V 0.1177 0.0000 0.3824
V2 V 0.1262 0.4930 0.8735
O1 O 0.0000 0.0681 0.5000
F1 F 0.0000 0.5939 0.0000
F2 F 0.0007 0.1915 0.2001
F3 F 0.0011 0.6897 0.2999
F4 F 0.2466 0.8950 0.2543
F5 F 0.2492 0.2945 0.0495
F6 F 0.2487 0.2953 0.4492
```

# 7
Computed, not measured: a relaxed structure of Na2NiPCO7 at the PBE+U level of DFT.

volume	12.792	Å³ per atom
E above lowest polymorph	23	kJ/mol of formula units

The structure in CIF format:
```
data_Na2NiPCO7
_chemical_formula_sum 'Na8 Ni4 P4 C4 O28'
_space_group_name_H-M_alt 'P 1'
_space_group_IT_number 1
_cell_length_a 8.4132
_cell_length_b 8.4541
_cell_length_c 8.9117
_cell_angle_alpha 90.97
_cell_angle_beta 91.65
_cell_angle_gamma 104.21
loop_
_space_group_symop_operation_xyz
'x,y,z'
loop_
_atom_site_label
_atom_site_type_symbol
_atom_site_fract_x
_atom_site_fract_y
_atom_site_fract_z
Na1 Na 0.0000 0.0000 0.0000
Na2 Na 0.0061 0.4979 0.4968
Na3 Na 0.2598 0.7424 0.0024
Na4 Na 0.4709 0.9972 0.4901
Na5 Na 0.4927 0.5036 0.0187
Na6 Na 0.6295 0.3853 0.6633
Na7 Na 0.7629 0.2325 0.0172
Na8 Na 0.7695 0.7480 0.4908
Ni1 Ni 0.3621 0.1039 0.1051
Ni2 Ni 0.3950 0.6294 0.4036
Ni3 Ni 0.8621 0.5996 0.1015
Ni4 Ni 0.8986 0.1331 0.4053
P1 P 0.1078 0.8462 0.3297
P2 P 0.1419 0.3804 0.1776
P3 P 0.6127 0.3508 0.3301
P4 P 0.6428 0.8836 0.1765
C1 C 0.3642 0.6018 0.6782
C2 C 0.3984 0.1345 0.8317
C3 C 0.8575 0.1032 0.6779
C4 C 0.8880 0.6287 0.8253
O1 O 0.0157 0.4407 0.0770
O2 O 0.0371 0.9631 0.4272
O3 O 0.0685 0.3137 0.3267
O4 O 0.1760 0.9198 0.1797
O5 O 0.1997 0.2517 0.0824
O6 O 0.2381 0.7879 0.4249
O7 O 0.2678 0.5056 0.5808
O8 O 0.2836 0.0246 0.8926
O9 O 0.2923 0.5301 0.2127
O10 O 0.3524 0.5896 0.8181
O11 O 0.4198 0.1440 0.6929
O12 O 0.4667 0.1996 0.2932
O13 O 0.4796 0.7113 0.6164
O14 O 0.4927 0.2363 0.9292
O15 O 0.5131 0.9423 0.0803
O16 O 0.5589 0.4826 0.4259
O17 O 0.5730 0.8157 0.3284
O18 O 0.6835 0.4182 0.1796
O19 O 0.6998 0.7536 0.0826
O20 O 0.7391 0.2940 0.4336
O21 O 0.7623 0.0082 0.5771
O22 O 0.7751 0.5177 0.8902
O23 O 0.7933 0.0335 0.2117
O24 O 0.8384 0.0886 0.8171
O25 O 0.8919 0.6307 0.6837
O26 O 0.9603 0.6934 0.2931
O27 O 0.9718 0.2151 0.6206
O28 O 0.9884 0.7292 0.9171
```

# 8
Computed, not measured: a relaxed structure of BaSrVBiO6 at the PBE+U level of DFT.

volume	14.982	Å³ per atom

The structure in CIF format:
```
data_BaSrVBiO6
_chemical_formula_sum 'Ba4 Sr4 V4 Bi4 O24'
_space_group_name_H-M_alt 'F -4 3 m'
_space_group_IT_number 216
_space_group_name_Hall 'F -4 2 3'
_cell_length_a 8.4309
_cell_length_b 8.4309
_cell_length_c 8.4309
_cell_angle_alpha 90.00
_cell_angle_beta 90.00
_cell_angle_gamma 90.00
loop_
_atom_site_label
_atom_site_type_symbol
_atom_site_fract_x
_atom_site_fract_y
_atom_site_fract_z
Ba1 Ba 0.0000 0.0000 0.0000
Sr1 Sr 0.0000 0.0000 0.5000
V1 V 0.2500 0.2500 0.7500
Bi1 Bi 0.2500 0.2500 0.2500
O1 O 0.0234 0.2500 0.7500
```

| no. | DFT formation energy (eV per atom) |
| --- | --- |
| 1 | -2.39 |
| 2 | -2.19 |
| 3 | -2.48 |
| 4 | -2.52 |
| 5 | -2.47 |
| 6 | -3.12 |
| 7 | -2.07 |
| 8 | -2.52 |